Density functional theory data (GGA-PBE) for a relaxed structure of SrZn2P2O8.

Cell lengths 8.4475, 9.6471, 9.1423 Å; angles 90.00, 92.10, 90.00 degrees
Space group P2_1/c (No. 14)
Symmetry-distinct sites (fractional):
Sr  0.2466  0.0816  0.1101 x4
Zn  0.0807  0.6811  0.0503 x4
Zn  0.4248  0.0728  0.7105 x4
P  0.0576  0.0848  0.7500 x4
P  0.4557  0.7060  0.0691 x4
O  0.0158  0.0521  0.3105 x4
O  0.0513  0.6272  0.6231 x4
O  0.0641  0.1953  0.6273 x4
O  0.2268  0.0653  0.8207 x4
O  0.2989  0.6436  0.0076 x4
O  0.4191  0.2081  0.5522 x4
O  0.4337  0.6423  0.6232 x4
O  0.4770  0.1117  0.3038 x4

***

Density functional theory data (GGA-PBE) for a relaxed structure of NaAlS2O20.

Cell lengths 11.3654, 11.3654, 11.3654 Å; angles 90.00, 90.00, 90.00 degrees
Space group Pa-3 (No. 205)
Symmetry-distinct sites (fractional):
Na  0.0000  0.0000  0.0000 x4
Al  0.0000  0.0000  0.5000 x4
S  0.2389  0.2389  0.2389 x8
O  0.0180  0.0645  0.6512 x24
O  0.0446  0.7053  0.4085 x24
O  0.1407  0.6862  0.2436 x24
O  0.1633  0.1633  0.1633 x8

***

Density functional theory data (GGA-PBE) for a relaxed structure of Gd.

Cell lengths 5.0432, 5.0432, 5.0432 Å; angles 90.00, 90.00, 90.00 degrees
Space group Fm-3m (No. 225)
Symmetry-distinct sites (fractional):
Gd  0.0000  0.0000  0.0000 x4

The excess energy over the best structure of this formula in the dataset comes out at 48 meV per atom.

***

Density functional theory data (GGA-PBE) for a relaxed structure of Na7MgSi3Ge3P3O24.

Cell lengths 8.7726, 8.7775, 21.7147 Å; angles 89.42, 89.57, 60.15 degrees
Space group P1 (No. 1)
Symmetry-distinct sites (fractional):
Na  0.0000  0.0000  0.0000 x1
Na  0.0004  0.3609  0.5005 x1
Na  0.2631  0.7392  0.4992 x1
Na  0.2644  0.3593  0.0001 x1
Na  0.2918  0.6716  0.1646 x1
Na  0.2950  0.0322  0.9151 x1
Na  0.2951  0.3943  0.6668 x1
Na  0.3069  0.0262  0.4136 x1
Na  0.3381  0.6904  0.8325 x1
Na  0.5949  0.0752  0.8319 x1
Na  0.6202  0.3703  0.2510 x1
Na  0.6214  0.9946  0.5009 x1
Na  0.6239  0.7339  0.9983 x1
Na  0.6345  0.3584  0.7519 x1
Na  0.6579  0.0322  0.1666 x1
Na  0.6582  0.6716  0.6643 x1
Na  0.9366  0.3929  0.1646 x1
Na  0.9527  0.3319  0.8322 x1
Na  0.9578  0.7080  0.5840 x1
Na  0.9628  0.0638  0.3307 x1
Na  0.9653  0.6977  0.0830 x1
Mg  0.2926  0.0349  0.0660 x1
Mg  0.3021  0.0269  0.5639 x1
Mg  0.6279  0.3656  0.8927 x1
Si  0.0052  0.0312  0.1654 x1
Si  0.2456  0.4117  0.8293 x1
Si  0.2553  0.6964  0.3323 x1
Si  0.2916  0.3258  0.1652 x1
Si  0.5952  0.0304  0.6640 x1
Si  0.6321  0.6486  0.4958 x1
Si  0.6657  0.9903  0.3316 x1
Si  0.6735  0.7015  0.8300 x1
Si  0.9662  0.9859  0.8300 x1
Ge  0.2983  0.0355  0.7687 x1
Ge  0.3009  0.0310  0.2690 x1
Ge  0.6187  0.3715  0.3920 x1
Ge  0.6291  0.3599  0.1014 x1
Ge  0.6370  0.3591  0.6016 x1
Ge  0.9535  0.7024  0.4304 x1
Ge  0.9573  0.7085  0.7308 x1
Ge  0.9622  0.6989  0.9286 x1
Ge  0.9692  0.7017  0.2320 x1
P  0.0039  0.3212  0.6647 x1
P  0.2905  0.7429  0.6649 x1
P  0.3375  0.6554  0.9974 x1
P  0.3410  0.3689  0.4972 x1
P  0.5879  0.7403  0.1654 x1
P  0.6312  0.0714  0.9973 x1
P  0.9125  0.0790  0.4965 x1
P  0.9183  0.3677  0.9972 x1
P  0.9627  0.4115  0.3318 x1
O  0.0131  0.8589  0.8932 x1
O  0.0863  0.2063  0.7235 x1
O  0.0899  0.0751  0.2261 x1
O  0.0948  0.0606  0.5024 x1
O  0.1019  0.2071  0.0031 x1
O  0.1151  0.2457  0.6068 x1
O  0.1155  0.5223  0.1750 x1
O  0.1205  0.4918  0.8923 x1
O  0.1215  0.9829  0.1046 x1
O  0.1232  0.7394  0.3929 x1
O  0.1262  0.2258  0.3269 x1
O  0.1314  0.7121  0.6717 x1
O  0.1468  0.9988  0.8229 x1
O  0.1509  0.6687  0.9952 x1
O  0.1558  0.5394  0.4913 x1
O  0.1567  0.5377  0.7693 x1
O  0.1685  0.6621  0.2714 x1
O  0.2494  0.2570  0.1036 x1
O  0.2589  0.2176  0.8249 x1
O  0.2595  0.8495  0.6061 x1
O  0.2628  0.8798  0.3247 x1
O  0.3148  0.2095  0.5025 x1
O  0.3165  0.8386  0.0036 x1
O  0.3315  0.8231  0.7224 x1
O  0.3413  0.1889  0.2237 x1
O  0.4194  0.4077  0.5559 x1
O  0.4212  0.5351  0.0573 x1
O  0.4367  0.3896  0.8344 x1
O  0.4480  0.5212  0.3378 x1
O  0.4508  0.5722  0.9412 x1
O  0.4612  0.0761  0.7248 x1
O  0.4617  0.8409  0.4994 x1
O  0.4627  0.5550  0.6604 x1
O  0.4633  0.8207  0.2215 x1
O  0.4652  0.3272  0.4415 x1
O  0.4697  0.3490  0.1588 x1
O  0.4713  0.0465  0.0045 x1
O  0.4736  0.0075  0.3247 x1
O  0.4788  0.8807  0.8242 x1
O  0.5185  0.8503  0.1068 x1
O  0.5186  0.9879  0.6042 x1
O  0.5971  0.5511  0.4391 x1
O  0.5986  0.1872  0.9413 x1
O  0.6025  0.2165  0.6578 x1
O  0.6070  0.5528  0.1592 x1
O  0.6512  0.5327  0.8352 x1
O  0.6618  0.1800  0.3397 x1
O  0.6693  0.1530  0.0568 x1
O  0.6744  0.5224  0.5590 x1
O  0.7536  0.7483  0.8923 x1
O  0.7540  0.8687  0.3938 x1
O  0.7748  0.7165  0.1744 x1
O  0.7876  0.8508  0.6726 x1
O  0.7907  0.1592  0.5540 x1
O  0.7973  0.1757  0.8358 x1
O  0.7969  0.4062  0.0571 x1
O  0.7973  0.9024  0.2722 x1
O  0.7992  0.3871  0.3377 x1
O  0.8015  0.6597  0.7704 x1
O  0.8044  0.8853  0.9947 x1
O  0.8068  0.2114  0.1587 x1
O  0.8139  0.3463  0.6608 x1
O  0.8160  0.6633  0.4912 x1
O  0.8303  0.1955  0.4386 x1
O  0.8341  0.3379  0.9416 x1
O  0.9240  0.8965  0.7729 x1
O  0.9277  0.5287  0.2739 x1
O  0.9320  0.5414  0.9946 x1
O  0.9315  0.8916  0.4931 x1
O  0.9752  0.8596  0.1735 x1
O  0.9848  0.5078  0.6708 x1
O  0.9967  0.4922  0.3904 x1

***

Density functional theory data (GGA-PBE) for a relaxed structure of Mg5Sb.

Cell lengths 11.7281, 3.2585, 7.6763 Å; angles 90.00, 106.54, 90.00 degrees
Space group Cm (No. 8)
Symmetry-distinct sites (fractional):
Mg  0.0000  0.0000  0.0000 x2
Mg  0.0535  0.0000  0.6103 x2
Mg  0.1645  0.5000  0.3363 x2
Mg  0.3348  0.0000  0.6648 x2
Mg  0.3896  0.0000  0.2792 x2
Sb  0.2242  0.5000  0.9501 x2

The excess energy over the best structure of this formula in the dataset comes out at 70 meV per atom.

***

Density functional theory data (GGA-PBE) for a relaxed structure of LaU3.

Cell lengths 6.3046, 6.3046, 5.5146 Å; angles 90.00, 90.00, 120.00 degrees
Space group P6_3/mmc (No. 194)
Symmetry-distinct sites (fractional):
La  0.3333  0.6667  0.2500 x2
U  0.1514  0.3028  0.7500 x6

***

Density functional theory data (GGA-PBE) for a relaxed structure of LiTi5Te10.

Cell lengths 6.5850, 7.8868, 9.5450 Å; angles 109.87, 109.99, 90.12 degrees
Space group P-1 (No. 2)
Symmetry-distinct sites (fractional):
Li  0.0000  0.0000  0.0000 x1
Ti  0.1021  0.7005  0.2019 x2
Ti  0.2973  0.1008  0.5998 x2
Ti  0.5000  0.5000  0.0000 x1
Te  0.0836  0.7497  0.5002 x2
Te  0.1168  0.6460  0.8970 x2
Te  0.2879  0.1509  0.8996 x2
Te  0.3212  0.0525  0.3039 x2
Te  0.4835  0.5501  0.3001 x2

***

Density functional theory data (GGA-PBE) for a relaxed structure of NpSb.

Cell lengths 6.2305, 6.2305, 6.2305 Å; angles 90.00, 90.00, 90.00 degrees
Space group Fm-3m (No. 225)
Symmetry-distinct sites (fractional):
Np  0.0000  0.0000  0.0000 x4
Sb  0.0000  0.0000  0.5000 x4

***

no.,formation enthalpy at 0 K (eV per atom)
1,-2.728
2,-0.242
3,0.048
4,-2.577
5,-0.042
6,0.560
7,-0.999
8,-0.316